# 1
Computed, not measured: a relaxed structure of BaV2P2H8O14 at the GGA+U level of DFT.

DFT formation energy = -1.994 eV per atom
final energy = -6.227 eV/atom
symmetry = Pc (7)
size of the total moment = 4.00 μB/cell

The structure in CIF format:
```
data_BaV2P2H8O14
_chemical_formula_sum 'Ba2 V4 P4 H16 O28'
_cell_length_a 6.581
_cell_length_b 14.013
_cell_length_c 9.661
_cell_angle_alpha 90.00
_cell_angle_beta 132.76
_cell_angle_gamma 90.00
_space_group_name_H-M_alt 'P 1'
_space_group_IT_number 1
_space_group_name_Hall 'P 1'
loop_
_atom_site_label
_atom_site_type_symbol
_atom_site_fract_x
_atom_site_fract_y
_atom_site_fract_z
Ba1 Ba 0.000 0.213 0.000
Ba2 Ba 0.000 0.787 0.500
V1 V 0.667 0.499 0.270
V2 V 0.667 0.501 0.770
V3 V 0.810 0.055 0.608
V4 V 0.810 0.945 0.108
P1 P 0.229 0.464 0.325
P2 P 0.229 0.536 0.825
P3 P 0.370 0.008 0.149
P4 P 0.370 0.992 0.649
H1 H 0.047 0.415 0.571
H2 H 0.047 0.585 0.071
H3 H 0.286 0.196 0.552
H4 H 0.286 0.804 0.052
H5 H 0.321 0.101 0.785
H6 H 0.321 0.899 0.285
H7 H 0.345 0.313 0.456
H8 H 0.345 0.687 0.956
H9 H 0.575 0.208 0.598
H10 H 0.575 0.792 0.098
H11 H 0.738 0.150 0.163
H12 H 0.738 0.850 0.663
H13 H 0.745 0.201 0.310
H14 H 0.745 0.799 0.810
H15 H 0.775 0.355 0.498
H16 H 0.775 0.645 0.998
O1 O 0.166 0.054 0.955
O2 O 0.166 0.946 0.455
O3 O 0.197 0.076 0.655
O4 O 0.197 0.924 0.155
O5 O 0.291 0.493 0.711
O6 O 0.291 0.507 0.211
O7 O 0.327 0.356 0.357
O8 O 0.327 0.644 0.857
O9 O 0.401 0.479 0.010
O10 O 0.401 0.521 0.510
O11 O 0.426 0.243 0.590
O12 O 0.426 0.757 0.090
O13 O 0.487 0.077 0.313
O14 O 0.487 0.923 0.813
O15 O 0.592 0.050 0.680
O16 O 0.592 0.950 0.180
O17 O 0.696 0.212 0.191
O18 O 0.696 0.788 0.691
O19 O 0.782 0.394 0.861
O20 O 0.782 0.606 0.361
O21 O 0.833 0.069 0.085
O22 O 0.833 0.931 0.585
O23 O 0.847 0.181 0.652
O24 O 0.847 0.819 0.152
O25 O 0.859 0.388 0.458
O26 O 0.859 0.612 0.958
O27 O 0.925 0.469 0.227
O28 O 0.925 0.531 0.727
```



# 2
Computed, not measured: a relaxed structure of Ba2V3P6HO22 at the GGA+U level of DFT.

DFT formation energy = -2.830 eV per atom
final energy = -7.406 eV/atom
symmetry = P-1 (2)
size of the total moment = 6.00 μB/cell

The structure in CIF format:
```
data_Ba2V3P6HO22
_chemical_formula_sum 'Ba2 V3 P6 H1 O22'
_cell_length_a 4.921
_cell_length_b 8.034
_cell_length_c 11.484
_cell_angle_alpha 88.70
_cell_angle_beta 89.22
_cell_angle_gamma 87.06
_space_group_name_H-M_alt 'P 1'
_space_group_IT_number 1
_space_group_name_Hall 'P 1'
loop_
_atom_site_label
_atom_site_type_symbol
_atom_site_fract_x
_atom_site_fract_y
_atom_site_fract_z
Ba1 Ba 0.229 0.006 0.177
Ba2 Ba 0.771 0.994 0.823
V1 V 0.218 0.494 0.203
V2 V 0.500 0.000 0.500
V3 V 0.782 0.506 0.797
P1 P 0.028 0.757 0.426
P2 P 0.266 0.698 0.657
P3 P 0.318 0.294 0.949
P4 P 0.682 0.706 0.051
P5 P 0.734 0.302 0.343
P6 P 0.972 0.243 0.574
H1 H 0.000 0.500 0.000
O1 O 0.011 0.695 0.737
O2 O 0.040 0.659 0.315
O3 O 0.091 0.434 0.914
O4 O 0.177 0.646 0.528
O5 O 0.195 0.914 0.407
O6 O 0.230 0.115 0.929
O7 O 0.264 0.203 0.535
O8 O 0.364 0.318 0.080
O9 O 0.364 0.877 0.653
O10 O 0.421 0.681 0.125
O11 O 0.484 0.565 0.690
O12 O 0.516 0.435 0.310
O13 O 0.579 0.319 0.875
O14 O 0.636 0.123 0.347
O15 O 0.636 0.682 0.920
O16 O 0.736 0.797 0.465
O17 O 0.770 0.885 0.071
O18 O 0.805 0.086 0.593
O19 O 0.823 0.354 0.472
O20 O 0.909 0.566 0.086
O21 O 0.960 0.341 0.685
O22 O 0.989 0.305 0.263
```



# 3
Computed, not measured: a relaxed structure of BaV2H2Se2O11 at the GGA+U level of DFT.

DFT formation energy = -1.963 eV per atom
final energy = -6.260 eV/atom
symmetry = P2_1/c (14)
size of the total moment = 0.01 μB/cell

The structure in CIF format:
```
data_BaV2H2Se2O11
_chemical_formula_sum 'Ba4 V8 H8 Se8 O44'
_cell_length_a 11.084
_cell_length_b 5.139
_cell_length_c 18.271
_cell_angle_alpha 90.00
_cell_angle_beta 91.37
_cell_angle_gamma 90.00
_space_group_name_H-M_alt 'P 1'
_space_group_IT_number 1
_space_group_name_Hall 'P 1'
loop_
_atom_site_label
_atom_site_type_symbol
_atom_site_fract_x
_atom_site_fract_y
_atom_site_fract_z
Ba1 Ba 0.173 0.214 0.455
Ba2 Ba 0.173 0.286 0.955
Ba3 Ba 0.827 0.714 0.045
Ba4 Ba 0.827 0.786 0.545
V1 V 0.048 0.236 0.192
V2 V 0.048 0.264 0.692
V3 V 0.456 0.233 0.813
V4 V 0.456 0.267 0.313
V5 V 0.544 0.733 0.687
V6 V 0.544 0.767 0.187
V7 V 0.952 0.736 0.308
V8 V 0.952 0.764 0.808
H1 H 0.404 0.153 0.071
H2 H 0.404 0.347 0.571
H3 H 0.434 0.053 0.556
H4 H 0.434 0.447 0.056
H5 H 0.566 0.553 0.944
H6 H 0.566 0.947 0.444
H7 H 0.596 0.653 0.429
H8 H 0.596 0.847 0.929
Se1 Se 0.157 0.745 0.109
Se2 Se 0.157 0.755 0.609
Se3 Se 0.269 0.744 0.808
Se4 Se 0.269 0.756 0.308
Se5 Se 0.731 0.244 0.692
Se6 Se 0.731 0.256 0.192
Se7 Se 0.843 0.245 0.391
Se8 Se 0.843 0.255 0.891
O1 O 0.031 0.543 0.617
O2 O 0.031 0.957 0.117
O3 O 0.032 0.555 0.240
O4 O 0.032 0.945 0.740
O5 O 0.076 0.046 0.597
O6 O 0.076 0.454 0.097
O7 O 0.142 0.692 0.856
O8 O 0.142 0.808 0.356
O9 O 0.191 0.173 0.211
O10 O 0.191 0.327 0.711
O11 O 0.192 0.702 0.521
O12 O 0.192 0.798 0.021
O13 O 0.317 0.036 0.850
O14 O 0.317 0.464 0.350
O15 O 0.361 0.517 0.856
O16 O 0.361 0.983 0.356
O17 O 0.383 0.198 0.540
O18 O 0.383 0.302 0.040
O19 O 0.441 0.670 0.623
O20 O 0.441 0.830 0.123
O21 O 0.471 0.507 0.243
O22 O 0.471 0.993 0.743
O23 O 0.529 0.007 0.257
O24 O 0.529 0.493 0.757
O25 O 0.559 0.170 0.877
O26 O 0.559 0.330 0.377
O27 O 0.617 0.698 0.960
O28 O 0.617 0.802 0.460
O29 O 0.639 0.017 0.644
O30 O 0.639 0.483 0.144
O31 O 0.683 0.536 0.650
O32 O 0.683 0.964 0.150
O33 O 0.808 0.202 0.979
O34 O 0.808 0.298 0.479
O35 O 0.809 0.673 0.289
O36 O 0.809 0.827 0.789
O37 O 0.858 0.192 0.644
O38 O 0.858 0.308 0.144
O39 O 0.924 0.546 0.903
O40 O 0.924 0.954 0.403
O41 O 0.968 0.055 0.260
O42 O 0.968 0.445 0.760
O43 O 0.969 0.043 0.883
O44 O 0.969 0.457 0.383
```



# 4
Computed, not measured: a relaxed structure of Ba2VTe4HO13 at the GGA+U level of DFT.

DFT formation energy = -2.063 eV per atom
final energy = -5.995 eV/atom
symmetry = P2_1/c (14)
size of the total moment = 0.20 μB/cell

The structure in CIF format:
```
data_Ba2VTe4HO13
_chemical_formula_sum 'Ba8 V4 Te16 H4 O52'
_cell_length_a 11.020
_cell_length_b 7.439
_cell_length_c 19.344
_cell_angle_alpha 90.00
_cell_angle_beta 119.79
_cell_angle_gamma 90.00
_space_group_name_H-M_alt 'P 1'
_space_group_IT_number 1
_space_group_name_Hall 'P 1'
loop_
_atom_site_label
_atom_site_type_symbol
_atom_site_fract_x
_atom_site_fract_y
_atom_site_fract_z
Ba1 Ba 0.051 0.232 0.304
Ba2 Ba 0.051 0.268 0.804
Ba3 Ba 0.073 0.735 0.963
Ba4 Ba 0.073 0.765 0.463
Ba5 Ba 0.927 0.235 0.537
Ba6 Ba 0.927 0.265 0.037
Ba7 Ba 0.949 0.732 0.196
Ba8 Ba 0.949 0.768 0.696
V1 V 0.487 0.250 0.394
V2 V 0.487 0.250 0.894
V3 V 0.513 0.750 0.106
V4 V 0.513 0.750 0.606
Te1 Te 0.259 0.233 0.033
Te2 Te 0.259 0.267 0.533
Te3 Te 0.263 0.520 0.687
Te4 Te 0.263 0.980 0.187
Te5 Te 0.306 0.517 0.219
Te6 Te 0.306 0.983 0.719
Te7 Te 0.341 0.648 0.895
Te8 Te 0.341 0.852 0.395
Te9 Te 0.659 0.148 0.605
Te10 Te 0.659 0.352 0.105
Te11 Te 0.694 0.017 0.281
Te12 Te 0.694 0.483 0.781
Te13 Te 0.737 0.020 0.813
Te14 Te 0.737 0.480 0.313
Te15 Te 0.741 0.733 0.467
Te16 Te 0.741 0.767 0.967
H1 H 0.320 0.037 0.947
H2 H 0.320 0.463 0.447
H3 H 0.680 0.537 0.553
H4 H 0.680 0.963 0.053
O1 O 0.098 0.145 0.462
O2 O 0.098 0.355 0.962
O3 O 0.099 0.040 0.187
O4 O 0.099 0.460 0.687
O5 O 0.147 0.651 0.851
O6 O 0.147 0.849 0.351
O7 O 0.166 0.018 0.745
O8 O 0.166 0.482 0.245
O9 O 0.169 0.040 0.061
O10 O 0.169 0.460 0.561
O11 O 0.206 0.734 0.146
O12 O 0.206 0.766 0.646
O13 O 0.225 0.137 0.627
O14 O 0.225 0.363 0.127
O15 O 0.228 0.061 0.942
O16 O 0.228 0.439 0.442
O17 O 0.350 0.115 0.403
O18 O 0.350 0.385 0.903
O19 O 0.355 0.652 0.039
O20 O 0.355 0.848 0.539
O21 O 0.356 0.658 0.800
O22 O 0.356 0.842 0.300
O23 O 0.450 0.247 0.296
O24 O 0.450 0.253 0.796
O25 O 0.476 0.035 0.918
O26 O 0.476 0.465 0.418
O27 O 0.524 0.535 0.582
O28 O 0.524 0.965 0.082
O29 O 0.550 0.747 0.204
O30 O 0.550 0.753 0.704
O31 O 0.644 0.158 0.700
O32 O 0.644 0.342 0.200
O33 O 0.645 0.152 0.461
O34 O 0.645 0.348 0.961
O35 O 0.650 0.615 0.097
O36 O 0.650 0.885 0.597
O37 O 0.772 0.561 0.558
O38 O 0.772 0.939 0.058
O39 O 0.775 0.637 0.873
O40 O 0.775 0.863 0.373
O41 O 0.794 0.234 0.354
O42 O 0.794 0.266 0.854
O43 O 0.831 0.540 0.439
O44 O 0.831 0.960 0.939
O45 O 0.834 0.518 0.755
O46 O 0.834 0.982 0.255
O47 O 0.853 0.151 0.649
O48 O 0.853 0.349 0.149
O49 O 0.901 0.540 0.313
O50 O 0.901 0.960 0.813
O51 O 0.902 0.645 0.038
O52 O 0.902 0.855 0.538
```



# 5
Computed, not measured: a relaxed structure of BaU2V2H4O12 at the GGA+U level of DFT.

DFT formation energy = -1.946 eV per atom
final energy = -6.897 eV/atom
symmetry = Pbcn (60)
size of the total moment = 0.92 μB/cell

The structure in CIF format:
```
data_BaU2V2H4O12
_chemical_formula_sum 'Ba4 U8 V8 H16 O48'
_cell_length_a 8.545
_cell_length_b 10.624
_cell_length_c 15.728
_cell_angle_alpha 90.00
_cell_angle_beta 90.00
_cell_angle_gamma 90.00
_space_group_name_H-M_alt 'P 1'
_space_group_IT_number 1
_space_group_name_Hall 'P 1'
loop_
_atom_site_label
_atom_site_type_symbol
_atom_site_fract_x
_atom_site_fract_y
_atom_site_fract_z
Ba1 Ba 0.000 0.164 0.250
Ba2 Ba 0.000 0.836 0.750
Ba3 Ba 0.500 0.336 0.750
Ba4 Ba 0.500 0.664 0.250
U1 U 0.021 0.318 0.506
U2 U 0.021 0.682 0.006
U3 U 0.479 0.182 0.006
U4 U 0.479 0.818 0.506
U5 U 0.521 0.182 0.494
U6 U 0.521 0.818 0.994
U7 U 0.979 0.318 0.994
U8 U 0.979 0.682 0.494
V1 V 0.150 0.035 0.954
V2 V 0.150 0.965 0.454
V3 V 0.350 0.465 0.454
V4 V 0.350 0.535 0.954
V5 V 0.650 0.465 0.046
V6 V 0.650 0.535 0.546
V7 V 0.850 0.035 0.546
V8 V 0.850 0.965 0.046
H1 H 0.198 0.242 0.804
H2 H 0.198 0.758 0.304
H3 H 0.200 0.031 0.675
H4 H 0.200 0.969 0.175
H5 H 0.300 0.469 0.175
H6 H 0.300 0.531 0.675
H7 H 0.302 0.258 0.304
H8 H 0.302 0.742 0.804
H9 H 0.698 0.258 0.196
H10 H 0.698 0.742 0.696
H11 H 0.700 0.469 0.325
H12 H 0.700 0.531 0.825
H13 H 0.800 0.031 0.825
H14 H 0.800 0.969 0.325
H15 H 0.802 0.242 0.696
H16 H 0.802 0.758 0.196
O1 O 0.015 0.304 0.110
O2 O 0.015 0.696 0.610
O3 O 0.059 0.101 0.516
O4 O 0.059 0.330 0.619
O5 O 0.059 0.670 0.119
O6 O 0.059 0.899 0.016
O7 O 0.138 0.004 0.851
O8 O 0.138 0.996 0.351
O9 O 0.154 0.487 0.986
O10 O 0.154 0.513 0.486
O11 O 0.209 0.200 0.972
O12 O 0.209 0.800 0.472
O13 O 0.291 0.300 0.472
O14 O 0.291 0.700 0.972
O15 O 0.346 0.013 0.486
O16 O 0.346 0.987 0.986
O17 O 0.362 0.496 0.351
O18 O 0.362 0.504 0.851
O19 O 0.441 0.170 0.119
O20 O 0.441 0.399 0.016
O21 O 0.441 0.601 0.516
O22 O 0.441 0.830 0.619
O23 O 0.485 0.196 0.610
O24 O 0.485 0.804 0.110
O25 O 0.515 0.196 0.890
O26 O 0.515 0.804 0.390
O27 O 0.559 0.170 0.381
O28 O 0.559 0.399 0.484
O29 O 0.559 0.601 0.984
O30 O 0.559 0.830 0.881
O31 O 0.638 0.496 0.149
O32 O 0.638 0.504 0.649
O33 O 0.654 0.013 0.014
O34 O 0.654 0.987 0.514
O35 O 0.709 0.300 0.028
O36 O 0.709 0.700 0.528
O37 O 0.791 0.200 0.528
O38 O 0.791 0.800 0.028
O39 O 0.846 0.487 0.514
O40 O 0.846 0.513 0.014
O41 O 0.862 0.004 0.649
O42 O 0.862 0.996 0.149
O43 O 0.941 0.101 0.984
O44 O 0.941 0.330 0.881
O45 O 0.941 0.670 0.381
O46 O 0.941 0.899 0.484
O47 O 0.985 0.304 0.390
O48 O 0.985 0.696 0.890
```



# 6
Computed, not measured: a relaxed structure of Ba2Li3Ho3W8O32 at the GGA+U level of DFT.

DFT formation energy = -2.624 eV per atom
final energy = -7.370 eV/atom
symmetry = P1 (1)
size of the total moment = 0.00 μB/cell

The structure in CIF format:
```
data_Ba2Li3Ho3W8O32
_chemical_formula_sum 'Ba2 Li3 Ho3 W8 O32'
_cell_length_a 5.273
_cell_length_b 6.940
_cell_length_c 19.106
_cell_angle_alpha 88.69
_cell_angle_beta 88.87
_cell_angle_gamma 67.97
_space_group_name_H-M_alt 'P 1'
_space_group_IT_number 1
_space_group_name_Hall 'P 1'
loop_
_atom_site_label
_atom_site_type_symbol
_atom_site_fract_x
_atom_site_fract_y
_atom_site_fract_z
Ba1 Ba 0.000 0.000 0.000
Ba2 Ba 0.067 0.878 0.480
Li1 Li 0.345 0.305 0.483
Li2 Li 0.727 0.570 0.995
Li3 Li 0.887 0.225 0.200
Ho1 Ho 0.175 0.645 0.706
Ho2 Ho 0.184 0.646 0.268
Ho3 Ho 0.894 0.233 0.772
W1 W 0.296 0.414 0.088
W2 W 0.308 0.419 0.892
W3 W 0.463 0.059 0.330
W4 W 0.489 0.062 0.645
W5 W 0.580 0.814 0.833
W6 W 0.602 0.819 0.145
W7 W 0.763 0.458 0.586
W8 W 0.776 0.461 0.390
O1 O 0.014 0.644 0.057
O2 O 0.049 0.227 0.420
O3 O 0.090 0.341 0.950
O4 O 0.116 0.458 0.807
O5 O 0.138 0.226 0.101
O6 O 0.213 0.290 0.288
O7 O 0.257 0.034 0.842
O8 O 0.258 0.977 0.702
O9 O 0.304 0.894 0.205
O10 O 0.308 0.112 0.563
O11 O 0.331 0.668 0.910
O12 O 0.339 0.846 0.347
O13 O 0.418 0.648 0.607
O14 O 0.434 0.468 0.169
O15 O 0.478 0.763 0.062
O16 O 0.517 0.282 0.696
O17 O 0.522 0.530 0.463
O18 O 0.544 0.350 0.012
O19 O 0.553 0.594 0.781
O20 O 0.588 0.107 0.414
O21 O 0.618 0.428 0.311
O22 O 0.650 0.228 0.870
O23 O 0.709 0.037 0.129
O24 O 0.736 0.212 0.566
O25 O 0.762 0.765 0.914
O26 O 0.771 0.963 0.276
O27 O 0.810 0.899 0.775
O28 O 0.813 0.843 0.634
O29 O 0.872 0.609 0.193
O30 O 0.943 0.647 0.375
O31 O 0.956 0.419 0.670
O32 O 0.975 0.536 0.525
```



Q: Look up the final energy of the sixth one.
A: -7.370 eV/atom